[1]
VASP calculation (r²SCAN) on NpSeO5 after structural relaxation.

Cell: 4.1928 9.3676 5.4476 Å, 90.00 96.22 90.00°
Last column: nearest neighbours and their distance in Å.
Atoms (fractional coordinates):
O1 0.4630 0.4082 0.7151  1 Np 1.77
Se1 0.1163 0.2500 0.3141  3 O 1.72
O2 0.0034 0.3943 0.1287  1 Se 1.72
Np1 0.5000 0.5000 0.0000  2 O 1.77
O3 0.0034 0.1057 0.1287  1 Se 1.72
O4 0.4630 0.0918 0.7151  1 Np 1.77
O5 0.5066 0.7500 0.7820  1 Se 1.72
Np2 0.5000 0.0000 0.0000  2 O 1.77
O6 0.5370 0.5918 0.2849  1 Np 1.77
O7 0.9966 0.6057 0.8713  1 Se 1.72
O8 0.4934 0.2500 0.2180  1 Se 1.72
Se2 0.8837 0.7500 0.6859  3 O 1.72
O9 0.5370 0.9082 0.2849  1 Np 1.77
O10 0.9966 0.8943 0.8713  1 Se 1.72

Properties
V: 213 Å³/cell
E: -141.740 eV per formula unit
Formation energy from the elements: -2.077 eV/atom

[2]
VASP calculation (r²SCAN) on NpSi2Os2 after structural relaxation.

Cell: 4.1890 4.1890 5.6438 Å, 111.78 111.78 90.00°
Last column: nearest neighbours and their distance in Å.
Atoms (fractional coordinates):
Si1 0.3703 0.3703 0.7406  4 Os 2.39, 1 Si 2.49
Np1 0.0000 0.0000 0.0000  8 Os 3.19, 10 Si 3.21-3.56
Os1 0.2500 0.7500 0.5000  4 Si 2.39
Si2 0.6297 0.6297 0.2594  4 Os 2.39, 1 Si 2.49
Os2 0.7500 0.2500 0.5000  4 Si 2.39

Properties
V: 84 Å³/cell
E: -210.107 eV per formula unit
Formation energy from the elements: -0.713 eV/atom